# 1
# Sr6La14Ti3Mn17O60, optimized geometry, DFT PBE+U
# - Space-group type: P1 (1)
data_Sr6La14Ti3Mn17O60
_chemical_formula_sum 'Sr6 La14 Ti3 Mn17 O60'
_space_group_name_H-M_alt 'P 1'
_space_group_IT_number 1
_space_group_name_Hall 'P 1'
_cell_length_a 5.548
_cell_length_b 5.558
_cell_length_c 55.669
_cell_angle_alpha 60.75
_cell_angle_beta 60.60
_cell_angle_gamma 60.97
loop_
_atom_site_label
_atom_site_fract_x
_atom_site_fract_y
_atom_site_fract_z
Mn1 0.502 0.503 0.949
O1 0.748 0.174 0.532
La1 0.751 0.751 0.775
O2 0.312 0.749 0.819
O3 0.334 0.748 0.216
O4 0.708 0.255 0.779
O5 0.696 0.222 0.184
O6 0.184 0.318 0.875
La2 0.249 0.253 0.326
Sr1 0.249 0.252 0.725
Mn2 0.496 0.507 0.150
Mn3 0.998 0.005 0.300
O7 0.178 0.320 0.076
O8 0.750 0.192 0.731
Mn4 0.995 0.996 0.601
Sr2 0.248 0.255 0.124
O9 0.245 0.821 0.469
O10 0.819 0.671 0.425
O11 0.315 0.752 0.518
Mn5 0.999 0.999 0.700
La3 0.749 0.752 0.376
O12 0.794 0.707 0.825
O13 0.679 0.247 0.482
Sr3 0.257 0.253 0.023
O14 0.794 0.710 0.127
O15 0.792 0.702 0.927
O16 0.259 0.786 0.971
O17 0.246 0.831 0.368
O18 0.293 0.779 0.117
Sr4 0.250 0.256 0.923
La4 0.759 0.754 0.972
O19 0.243 0.798 0.870
O20 0.696 0.253 0.879
Mn6 0.502 0.493 0.551
O21 0.254 0.799 0.770
Mn7 0.501 0.502 0.750
O22 0.192 0.315 0.775
Mn8 0.999 0.007 0.899
Mn9 0.500 0.506 0.250
O23 0.318 0.755 0.418
Sr5 0.246 0.242 0.627
O24 0.754 0.190 0.831
O25 0.690 0.265 0.080
O26 0.751 0.172 0.432
Ti1 0.005 0.005 0.098
O27 0.320 0.753 0.318
O28 0.194 0.301 0.976
La5 0.247 0.246 0.426
O29 0.254 0.808 0.569
O30 0.306 0.743 0.620
La6 0.748 0.746 0.476
La7 0.743 0.739 0.578
Mn10 0.508 0.499 0.049
La8 0.749 0.749 0.276
Mn11 0.001 0.002 0.800
O31 0.676 0.258 0.282
O32 0.186 0.329 0.274
Ti2 0.004 0.000 0.999
O33 0.250 0.794 0.170
La9 0.242 0.244 0.527
O34 0.704 0.246 0.680
Mn12 0.498 0.503 0.850
O35 0.182 0.309 0.176
O36 0.180 0.330 0.374
O37 0.796 0.698 0.624
O38 0.311 0.752 0.719
La10 0.250 0.254 0.225
La11 0.750 0.757 0.873
Mn13 0.497 0.494 0.651
Sr6 0.251 0.253 0.824
La12 0.749 0.745 0.676
O39 0.184 0.307 0.675
O40 0.336 0.732 0.018
O41 0.740 0.199 0.931
O42 0.779 0.157 0.031
O43 0.297 0.764 0.919
O44 0.777 0.156 0.232
Mn14 0.996 0.998 0.501
O45 0.736 0.206 0.132
O46 0.721 0.227 0.981
O47 0.830 0.677 0.225
O48 0.798 0.705 0.725
O49 0.747 0.185 0.631
O50 0.223 0.823 0.071
O51 0.820 0.673 0.325
O52 0.181 0.322 0.474
O53 0.678 0.250 0.382
O54 0.238 0.838 0.268
O55 0.706 0.247 0.580
O56 0.808 0.693 0.026
La13 0.751 0.749 0.073
Mn15 0.998 0.001 0.400
La14 0.757 0.761 0.172
Ti3 0.004 0.997 0.200
Mn16 0.499 0.502 0.350
O57 0.248 0.792 0.671
Mn17 0.499 0.497 0.450
O58 0.815 0.677 0.524
O59 0.755 0.173 0.332
O60 0.187 0.315 0.573

***

# 2
# BaCaMnF7, optimized geometry, DFT PBE+U
# - Space-group type: P2_1/c (14)
data_BaCaMnF7
_chemical_formula_sum 'Ba4 Ca4 Mn4 F28'
_space_group_name_H-M_alt 'P 1'
_space_group_IT_number 1
_space_group_name_Hall 'P 1'
_cell_length_a 10.538
_cell_length_b 5.890
_cell_length_c 9.898
_cell_angle_alpha 87.22
_cell_angle_beta 90.00
_cell_angle_gamma 90.00
loop_
_atom_site_label
_atom_site_fract_x
_atom_site_fract_y
_atom_site_fract_z
Ba1 0.173 0.721 0.007
F1 0.771 0.975 0.740
F2 0.229 0.025 0.260
F3 0.781 0.519 0.229
F4 0.088 0.882 0.603
F5 0.719 0.519 0.729
F6 0.039 0.387 0.116
Mn1 0.379 0.191 0.196
F7 0.302 0.287 0.028
F8 0.198 0.287 0.528
F9 0.698 0.713 0.972
Ca1 0.086 0.294 0.324
Ca2 0.414 0.294 0.824
Ca3 0.914 0.706 0.676
F10 0.802 0.713 0.472
F11 0.470 0.660 0.863
F12 0.462 0.089 0.356
Mn2 0.121 0.191 0.696
F13 0.588 0.118 0.897
F14 0.271 0.025 0.760
F15 0.530 0.340 0.137
F16 0.962 0.911 0.144
Ba2 0.673 0.279 0.493
F17 0.538 0.911 0.644
Ba3 0.327 0.721 0.507
Mn3 0.621 0.809 0.804
F18 0.912 0.118 0.397
F19 0.461 0.387 0.616
F20 0.219 0.481 0.771
Ca4 0.586 0.706 0.176
F21 0.281 0.481 0.271
F22 0.729 0.975 0.240
F23 0.412 0.882 0.103
Mn4 0.879 0.809 0.304
F24 0.038 0.089 0.856
F25 0.970 0.340 0.637
F26 0.030 0.660 0.363
F27 0.539 0.613 0.384
F28 0.961 0.613 0.884
Ba4 0.827 0.279 0.993

***

# 3
# Mn2O3, optimized geometry, DFT PBE+U
# - Space-group type: P4_12_12 (92)
data_Mn2O3
_chemical_formula_sum 'Mn64 O96'
_space_group_name_H-M_alt 'P 1'
_space_group_IT_number 1
_space_group_name_Hall 'P 1'
_cell_length_a 8.496
_cell_length_b 8.496
_cell_length_c 26.162
_cell_angle_alpha 90.00
_cell_angle_beta 90.00
_cell_angle_gamma 90.00
loop_
_atom_site_label
_atom_site_fract_x
_atom_site_fract_y
_atom_site_fract_z
Mn1 0.248 0.491 0.376
O1 0.356 0.119 0.003
Mn2 0.368 0.376 0.833
O2 0.639 0.114 0.576
O3 0.603 0.897 0.846
Mn3 0.265 0.490 0.042
O4 0.884 0.367 0.254
O5 0.116 0.633 0.754
Mn4 0.748 0.009 0.374
O6 0.386 0.139 0.826
Mn5 0.123 0.374 0.251
O7 0.133 0.384 0.504
O8 0.644 0.881 0.503
Mn6 0.877 0.626 0.751
Mn7 0.748 0.502 0.204
O9 0.851 0.903 0.920
O10 0.361 0.886 0.076
O11 0.142 0.844 0.825
Mn8 0.509 0.752 0.124
O12 0.906 0.859 0.745
Mn9 0.623 0.126 0.499
O13 0.356 0.344 0.095
Mn10 0.510 0.735 0.458
O14 0.633 0.116 0.246
O15 0.903 0.867 0.415
Mn11 0.765 0.010 0.708
O16 0.611 0.638 0.254
O17 0.639 0.115 0.921
O18 0.139 0.385 0.829
Mn12 0.868 0.124 0.917
Mn13 0.377 0.874 0.999
O19 0.897 0.397 0.404
O20 0.115 0.639 0.079
O21 0.359 0.594 0.495
O22 0.397 0.103 0.346
Mn14 0.009 0.748 0.626
O23 0.114 0.639 0.424
O24 0.387 0.106 0.677
O25 0.886 0.361 0.924
O26 0.094 0.141 0.245
O27 0.613 0.894 0.177
O28 0.861 0.614 0.674
Mn15 0.627 0.880 0.586
O29 0.597 0.367 0.835
Mn16 0.371 0.371 0.500
Mn17 0.124 0.868 0.083
O30 0.403 0.633 0.335
O31 0.894 0.613 0.823
O32 0.103 0.603 0.904
Mn18 0.375 0.625 0.250
O33 0.367 0.597 0.165
O34 0.644 0.656 0.595
Mn19 0.875 0.875 0.500
O35 0.656 0.644 0.405
O36 0.856 0.156 0.655
O37 0.138 0.889 0.004
O38 0.113 0.606 0.573
Mn20 0.248 0.998 0.546
Mn21 0.132 0.876 0.417
O39 0.397 0.897 0.596
Mn22 0.120 0.373 0.914
O40 0.403 0.649 0.670
Mn23 0.010 0.765 0.292
O41 0.614 0.861 0.326
Mn24 0.991 0.252 0.126
Mn25 0.877 0.380 0.331
Mn26 0.120 0.377 0.581
Mn27 0.373 0.120 0.086
O42 0.097 0.149 0.580
O43 0.858 0.156 0.325
Mn28 0.735 0.510 0.542
Mn29 0.502 0.748 0.796
O44 0.606 0.113 0.427
O45 0.367 0.884 0.746
O46 0.885 0.361 0.579
Mn30 0.126 0.623 0.501
O47 0.903 0.851 0.080
Mn31 0.990 0.235 0.792
Mn32 0.374 0.123 0.749
O48 0.633 0.403 0.665
O49 0.362 0.389 0.246
Mn33 0.129 0.871 0.750
O50 0.133 0.097 0.085
Mn34 0.752 0.509 0.876
O51 0.867 0.903 0.585
O52 0.097 0.133 0.915
Mn35 0.252 0.498 0.704
O53 0.111 0.862 0.496
O54 0.144 0.619 0.247
O55 0.881 0.644 0.497
O56 0.859 0.906 0.255
O57 0.889 0.138 0.996
Mn36 0.623 0.880 0.919
Mn37 0.871 0.129 0.250
O58 0.384 0.133 0.496
O59 0.389 0.362 0.754
Mn38 0.625 0.375 0.750
Mn39 0.876 0.132 0.583
O60 0.156 0.856 0.345
O61 0.381 0.856 0.253
O62 0.638 0.611 0.746
O63 0.358 0.344 0.425
Mn40 0.624 0.632 0.667
Mn41 0.235 0.990 0.208
O64 0.867 0.616 0.004
O65 0.103 0.397 0.654
Mn42 0.752 0.002 0.046
O66 0.603 0.103 0.096
Mn43 0.498 0.252 0.296
O67 0.149 0.097 0.420
Mn44 0.380 0.877 0.669
Mn45 0.629 0.629 0.000
O68 0.649 0.403 0.330
Mn46 0.880 0.623 0.081
Mn47 0.376 0.368 0.167
Mn48 0.626 0.877 0.249
O69 0.119 0.356 0.997
Mn49 0.127 0.620 0.164
O70 0.615 0.861 0.671
O71 0.887 0.394 0.073
Mn50 0.002 0.752 0.954
O72 0.394 0.887 0.927
Mn51 0.123 0.620 0.831
Mn52 0.880 0.627 0.414
O73 0.897 0.603 0.154
Mn53 0.252 0.991 0.874
O74 0.597 0.351 0.170
Mn54 0.632 0.624 0.333
O75 0.156 0.858 0.675
O76 0.361 0.885 0.421
O77 0.861 0.615 0.329
O78 0.106 0.387 0.323
Mn55 0.874 0.377 0.001
Mn56 0.125 0.125 0.000
Mn57 0.873 0.380 0.664
Mn58 0.998 0.248 0.454
O79 0.856 0.381 0.747
Mn59 0.620 0.127 0.836
O80 0.862 0.111 0.504
O81 0.656 0.642 0.075
Mn60 0.380 0.873 0.336
O82 0.406 0.641 0.005
O83 0.139 0.386 0.174
Mn61 0.490 0.265 0.958
O84 0.144 0.844 0.155
O85 0.844 0.144 0.845
O86 0.594 0.359 0.505
O87 0.642 0.656 0.925
O88 0.344 0.358 0.575
O89 0.844 0.142 0.175
O90 0.141 0.094 0.755
Mn62 0.377 0.120 0.419
O91 0.616 0.867 0.996
O92 0.619 0.144 0.753
O93 0.641 0.406 0.995
O94 0.351 0.597 0.830
O95 0.385 0.139 0.171
Mn63 0.491 0.248 0.624
O96 0.344 0.356 0.905
Mn64 0.620 0.123 0.169

***

Number 1: E -0.2888 hartree per atom, formation enthalpy at 0 K -2.999 eV per atom. Number 2: E -0.2121 hartree per atom, formation enthalpy at 0 K -3.614 eV per atom. Number 3: E -0.2752 hartree per atom, formation enthalpy at 0 K -1.935 eV per atom.